# 1
# Sr7CN6 (GGA-PBE, optimized geometry)
data_Sr7CN6
_space_group_name_H-M_alt 'P b c n'
_space_group_IT_number 60
_cell_length_a 11.407
_cell_length_b 6.632
_cell_length_c 13.301
_cell_angle_alpha 90.00
_cell_angle_beta 90.00
_cell_angle_gamma 90.00
loop_
_space_group_symop_operation_xyz
'x,y,z'
'-x,-y,-z'
'-x+1/2,-y+1/2,z+1/2'
'x+1/2,y+1/2,-z+1/2'
'x+1/2,-y+1/2,-z'
'-x+1/2,y+1/2,z'
'-x,y,-z+1/2'
'x,-y,z+1/2'
loop_
_atom_site_label
_atom_site_fract_x
_atom_site_fract_y
_atom_site_fract_z
_atom_site_occupancy
Sr1 0.000 0.034 0.250 1
Sr2 0.045 0.244 0.512 1
Sr3 0.204 0.372 0.139 1
Sr4 0.210 0.363 0.878 1
C1 0.000 0.436 0.750 1
N1 0.032 0.429 0.341 1
N2 0.105 0.296 0.712 1
N3 0.165 0.090 0.005 1
# DFT total energy	-304.0	eV for the cell shown


# 2
# Sr11C2N10 (GGA-PBE, optimized geometry)
data_Sr11C2N10
_space_group_name_H-M_alt 'P 42/m n m'
_space_group_IT_number 136
_space_group_name_Hall '-P 4n 2n'
_cell_length_a 15.507
_cell_length_b 15.507
_cell_length_c 3.888
_cell_angle_alpha 90.00
_cell_angle_beta 90.00
_cell_angle_gamma 90.00
loop_
_atom_site_label
_atom_site_fract_x
_atom_site_fract_y
_atom_site_fract_z
_atom_site_occupancy
Sr1 0.000 0.000 0.000 1
Sr2 0.020 0.205 0.500 1
Sr3 0.111 0.618 0.500 1
Sr4 0.171 0.829 0.000 1
C1 0.182 0.182 0.000 1
N1 0.032 0.690 0.000 1
N2 0.091 0.909 0.500 1
N3 0.125 0.125 0.000 1
N4 0.238 0.238 0.000 1
# DFT total energy	-270.7	eV for the cell shown


# 3
# SrC8N6 (GGA-PBE, optimized geometry)
data_SrC8N6
_space_group_name_H-M_alt 'P m n a'
_space_group_IT_number 53
_cell_length_a 8.422
_cell_length_b 5.813
_cell_length_c 11.512
_cell_angle_alpha 90.00
_cell_angle_beta 90.00
_cell_angle_gamma 90.00
loop_
_space_group_symop_operation_xyz
'x,y,z'
'-x,-y,-z'
'-x+1/2,-y,z+1/2'
'x+1/2,y,-z+1/2'
'x,-y,-z'
'-x,y,z'
'-x+1/2,y,-z+1/2'
'x+1/2,-y,z+1/2'
loop_
_atom_site_label
_atom_site_fract_x
_atom_site_fract_y
_atom_site_fract_z
_atom_site_occupancy
Sr1 0.000 0.000 0.000 1
C1 0.000 0.409 0.258 1
C2 0.000 0.411 0.661 1
C3 0.143 0.317 0.621 1
N1 0.000 0.260 0.189 1
N2 0.238 0.236 0.914 1
# polymorph energy (0 for the lowest one)	0.000	eV/atom


# 4
# SrC8N6 (GGA-PBE, optimized geometry)
data_SrC8N6
_space_group_name_H-M_alt 'P 3 1 m'
_space_group_IT_number 157
_cell_length_a 14.4981
_cell_length_b 14.4981
_cell_length_c 4.2106
_cell_angle_alpha 90.00
_cell_angle_beta 90.00
_cell_angle_gamma 120.00
loop_
_space_group_symop_operation_xyz
'x,y,z'
'-y,x-y,z'
'-x+y,-x,z'
'y,x,z'
'x-y,-y,z'
'-x,-x+y,z'
loop_
_atom_site_label
_atom_site_fract_x
_atom_site_fract_y
_atom_site_fract_z
_atom_site_occupancy
Sr1 0.0000 0.0000 0.0000 1
Sr2 0.3333 0.6667 0.3087 1
C1 0.0000 0.2019 0.4496 1
C2 0.0000 0.2949 0.3696 1
C3 0.0000 0.6302 0.8587 1
C4 0.0000 0.7258 0.9256 1
C5 0.0962 0.3907 0.3305 1
C6 0.0977 0.6329 0.8256 1
N1 0.0000 0.1231 0.5144 1
N2 0.0000 0.8050 0.9822 1
N3 0.1753 0.4718 0.2978 1
N4 0.1811 0.6385 0.7995 1
# polymorph energy (0 for the lowest one)	0.004	eV/atom


Number 1: V 1006.2 Å³ per cell. Number 2: V 934.9 Å³ per cell. Number 3: V 563.6 Å³ per cell. Number 4: V 766.5 Å³ per cell.